A plane-wave DFT calculation with PBE-GGA was carried out for a relaxed structure of Na3YP2O8.

Cell and atoms, written as CIF:
```
data_Na3YP2O8
_chemical_formula_sum 'Na24 Y8 P16 O64'
_cell_length_a 13.969
_cell_length_b 5.335
_cell_length_c 18.610
_cell_angle_alpha 90.00
_cell_angle_beta 90.00
_cell_angle_gamma 90.00
_symmetry_space_group_name_H-M 'P c a 21'
_symmetry_Int_Tables_number 29
loop_
_symmetry_equiv_pos_as_xyz
'x,y,z'
'-x,-y,z+1/2'
'-x+1/2,y,z+1/2'
'x+1/2,-y,z'
loop_
_atom_site_label
_atom_site_fract_x
_atom_site_fract_y
_atom_site_fract_z
_atom_site_occupancy
Na1 0.031 0.038 0.104 1
Na2 0.048 0.493 0.343 1
Na3 0.112 0.000 0.443 1
Na4 0.139 0.497 0.164 1
Na5 0.203 0.980 0.263 1
Na6 0.217 0.509 0.500 1
Y1 0.111 0.429 0.688 1
Y2 0.138 0.056 0.919 1
P1 0.025 0.531 0.011 1
P2 0.027 0.980 0.767 1
P3 0.223 0.508 0.839 1
P4 0.226 0.962 0.596 1
O1 0.000 0.272 0.231 1
O2 0.002 0.507 0.093 1
O3 0.003 0.027 0.348 1
O4 0.028 0.802 0.229 1
O5 0.041 0.813 0.992 1
O6 0.057 0.580 0.465 1
O7 0.114 0.454 0.844 1
O8 0.119 0.379 0.998 1
O9 0.132 0.115 0.607 1
O10 0.135 0.035 0.761 1
O11 0.192 0.074 0.142 1
O12 0.209 0.681 0.618 1
O13 0.224 0.292 0.380 1
O14 0.246 0.508 0.259 1
O15 0.249 0.762 0.874 1
O16 0.249 0.968 0.514 1
```

Computed properties:
Energy with MP2020 corrections: -7.290 eV per atom
E_tot: -6.8977 eV per atom